U2Mn3Si: optimized geometry, GGA-PBE.

The formation energy comes out at -0.290 eV per atom. Its space-group type is P6_3/mmc. The calculation puts the total DFT energy (no corrections) at -0.7020 Ry/atom.

a = 5.1559 Å, b = 5.1559 Å, c = 7.7578 Å
α = 90.00°, β = 90.00°, γ = 120.00°
With the nearest neighbours (Å) after each atom.
Fractional positions:
1 U 0.6667 0.3333 0.4252  1 U 2.72, 9 Mn 2.91-2.92, 3 Si 3.03
2 U 0.3333 0.6667 0.5748  1 U 2.72, 9 Mn 2.91-2.92, 3 Si 3.03
3 U 0.3333 0.6667 0.9252  1 U 2.72, 9 Mn 2.91-2.92, 3 Si 3.03
4 U 0.6667 0.3333 0.0748  1 U 2.72, 9 Mn 2.91-2.92, 3 Si 3.03
5 Mn 0.8310 0.1690 0.7500  2 Si 2.46, 4 Mn 2.54-2.61
6 Mn 0.1690 0.8310 0.2500  2 Si 2.46, 4 Mn 2.54-2.61
7 Mn 0.3380 0.1690 0.7500  2 Si 2.46, 4 Mn 2.54-2.61
8 Mn 0.6620 0.8310 0.2500  2 Si 2.46, 4 Mn 2.54-2.61
9 Mn 0.8310 0.6620 0.7500  2 Si 2.46, 4 Mn 2.54-2.61
10 Mn 0.1690 0.3380 0.2500  2 Si 2.46, 4 Mn 2.54-2.61
11 Si 0.0000 0.0000 0.0000  6 Mn 2.46
12 Si 0.0000 0.0000 0.5000  6 Mn 2.46

CaTiH6O2F6: optimized geometry, GGA-PBE.

The formation energy comes out at -2.227 eV per atom. The polymorph energy (0 for the lowest one) comes out at 16.2 meV per atom. Its space-group type is C2. The calculation puts the total DFT energy (no corrections) at -0.3819 Ry/atom.

a = 5.8634 Å, b = 6.7327 Å, c = 6.7327 Å
α = 133.36°, β = 94.81°, γ = 85.19°
With the nearest neighbours (Å) after each atom.
Fractional positions:
1 Ca 0.5000 0.3409 0.3409  6 F 2.29-2.33
2 Ti 0.0000 0.9522 0.9522  6 F 2.09-2.20
3 H 0.7538 0.8628 0.2850  1 O 1.06
4 H 0.7470 0.5155 0.1508  1 O 1.05
5 H 0.2494 0.4812 0.7736  1 O 1.01
6 H 0.7506 0.7736 0.4812  1 O 1.01
7 H 0.2462 0.2850 0.8628  1 O 1.06
8 H 0.2530 0.1508 0.5155  1 O 1.05
9 O 0.7113 0.7266 0.3045  3 H 1.01-1.06
10 O 0.2887 0.3045 0.7266  3 H 1.01-1.06
11 F 0.7544 0.6849 0.6492  1 H 1.60
12 F 0.7832 0.0390 0.2576  1 H 1.35
13 F 0.2608 0.0207 0.2411  1 H 1.40
14 F 0.7392 0.2411 0.0207  1 H 1.40
15 F 0.2456 0.6492 0.6849  1 H 1.60
16 F 0.2168 0.2576 0.0390  1 H 1.35

SiO2: optimized geometry, GGA-PBE.

The formation energy comes out at -3.252 eV per atom. Its space-group type is P6_3/mmc. The calculation puts the total DFT energy (no corrections) at -0.5807 Ry/atom.

a = 18.1935 Å, b = 18.1936 Å, c = 7.6135 Å
α = 90.00°, β = 90.00°, γ = 120.00°
With the nearest neighbours (Å) after each atom.
Fractional positions:
1 Si 0.0940 0.3590 0.0460  4 O 1.63-1.64
2 Si 0.6439 0.7409 0.0460  4 O 1.63-1.64
3 Si 0.2620 0.9089 0.0460  4 O 1.63-1.64
4 Si 0.9060 0.6468 0.5460  4 O 1.63-1.64
5 Si 0.3561 0.2649 0.5460  4 O 1.63-1.64
6 Si 0.7380 0.0969 0.5460  4 O 1.63-1.64
7 Si 0.6439 0.9089 0.0460  4 O 1.63-1.64
8 Si 0.2620 0.3590 0.0460  4 O 1.63-1.64
9 Si 0.0940 0.7409 0.0460  4 O 1.63-1.64
10 Si 0.3561 0.0969 0.5460  4 O 1.63-1.64
11 Si 0.7380 0.6468 0.5460  4 O 1.63-1.64
12 Si 0.9060 0.2649 0.5460  4 O 1.63-1.64
13 Si 0.9060 0.6468 0.9540  4 O 1.63-1.64
14 Si 0.3561 0.2649 0.9540  4 O 1.63-1.64
15 Si 0.7380 0.0969 0.9540  4 O 1.63-1.64
16 Si 0.0940 0.3590 0.4540  4 O 1.63-1.64
17 Si 0.6439 0.7409 0.4540  4 O 1.63-1.64
18 Si 0.2620 0.9089 0.4540  4 O 1.63-1.64
19 Si 0.3561 0.0969 0.9540  4 O 1.63-1.64
20 Si 0.7380 0.6468 0.9540  4 O 1.63-1.64
21 Si 0.9060 0.2649 0.9540  4 O 1.63-1.64
22 Si 0.6439 0.9089 0.4540  4 O 1.63-1.64
23 Si 0.2620 0.3590 0.4540  4 O 1.63-1.64
24 Si 0.0940 0.7409 0.4540  4 O 1.63-1.64
25 Si 0.4926 0.1633 0.2500  4 O 1.60-1.63
26 Si 0.8396 0.3351 0.2500  4 O 1.60-1.63
27 Si 0.6678 0.5103 0.2500  4 O 1.60-1.63
28 Si 0.5074 0.8425 0.7500  4 O 1.60-1.63
29 Si 0.1604 0.6707 0.7500  4 O 1.60-1.63
30 Si 0.3322 0.4955 0.7500  4 O 1.60-1.63
31 Si 0.8396 0.5103 0.2500  4 O 1.60-1.63
32 Si 0.6678 0.1633 0.2500  4 O 1.60-1.63
33 Si 0.4926 0.3351 0.2500  4 O 1.60-1.63
34 Si 0.1604 0.4955 0.7500  4 O 1.60-1.63
35 Si 0.3322 0.8425 0.7500  4 O 1.60-1.63
36 Si 0.5074 0.6707 0.7500  4 O 1.60-1.63
37 O 0.0000 0.2799 0.0000  2 Si 1.63
38 O 0.7230 0.7259 0.0000  2 Si 1.63
39 O 0.2770 0.0029 0.0000  2 Si 1.63
40 O 0.0000 0.7259 0.5000  2 Si 1.63
41 O 0.2770 0.2799 0.5000  2 Si 1.63
42 O 0.7230 0.0029 0.5000  2 Si 1.63
43 O 0.7230 0.0029 0.0000  2 Si 1.63
44 O 0.2770 0.2799 0.0000  2 Si 1.63
45 O 0.0000 0.7259 0.0000  2 Si 1.63
46 O 0.2770 0.0029 0.5000  2 Si 1.63
47 O 0.7230 0.7259 0.5000  2 Si 1.63
48 O 0.0000 0.2799 0.5000  2 Si 1.63
49 O 0.1143 0.4410 0.9258  2 Si 1.63
50 O 0.5619 0.6791 0.9258  2 Si 1.63
51 O 0.3238 0.8886 0.9258  2 Si 1.63
52 O 0.8857 0.5648 0.4258  2 Si 1.63
53 O 0.4381 0.3267 0.4258  2 Si 1.63
54 O 0.6762 0.1172 0.4258  2 Si 1.63
55 O 0.5619 0.8886 0.9258  2 Si 1.63
56 O 0.3238 0.4410 0.9258  2 Si 1.63
57 O 0.1143 0.6791 0.9258  2 Si 1.63
58 O 0.4381 0.1172 0.4258  2 Si 1.63
59 O 0.6762 0.5648 0.4258  2 Si 1.63
60 O 0.8857 0.3267 0.4258  2 Si 1.63
61 O 0.8857 0.5648 0.0742  2 Si 1.63
62 O 0.4381 0.3267 0.0742  2 Si 1.63
63 O 0.6762 0.1172 0.0742  2 Si 1.63
64 O 0.1143 0.4410 0.5742  2 Si 1.63
65 O 0.5619 0.6791 0.5742  2 Si 1.63
66 O 0.3238 0.8886 0.5742  2 Si 1.63
67 O 0.4381 0.1172 0.0742  2 Si 1.63
68 O 0.6762 0.5648 0.0742  2 Si 1.63
69 O 0.8857 0.3267 0.0742  2 Si 1.63
70 O 0.5619 0.8886 0.5742  2 Si 1.63
71 O 0.3238 0.4410 0.5742  2 Si 1.63
72 O 0.1143 0.6791 0.5742  2 Si 1.63
73 O 0.1624 0.3276 0.0059  2 Si 1.64
74 O 0.6753 0.8405 0.0059  2 Si 1.64
75 O 0.1624 0.8405 0.0059  2 Si 1.64
76 O 0.8376 0.6782 0.5059  2 Si 1.64
77 O 0.3247 0.1652 0.5059  2 Si 1.64
78 O 0.8376 0.1652 0.5059  2 Si 1.64
79 O 0.8376 0.6782 0.9941  2 Si 1.64
80 O 0.3247 0.1652 0.9941  2 Si 1.64
81 O 0.8376 0.1652 0.9941  2 Si 1.64
82 O 0.1624 0.3276 0.4941  2 Si 1.64
83 O 0.6753 0.8405 0.4941  2 Si 1.64
84 O 0.1624 0.8405 0.4941  2 Si 1.64
85 O 0.0996 0.3882 0.2500  2 Si 1.63
86 O 0.6147 0.7172 0.2500  2 Si 1.63
87 O 0.2857 0.9033 0.2500  2 Si 1.63
88 O 0.9004 0.6176 0.7500  2 Si 1.63
89 O 0.3853 0.2886 0.7500  2 Si 1.63
90 O 0.7143 0.1025 0.7500  2 Si 1.63
91 O 0.6147 0.9033 0.2500  2 Si 1.63
92 O 0.2857 0.3882 0.2500  2 Si 1.63
93 O 0.0996 0.7172 0.2500  2 Si 1.63
94 O 0.3853 0.1025 0.7500  2 Si 1.63
95 O 0.7143 0.6176 0.7500  2 Si 1.63
96 O 0.9004 0.2886 0.7500  2 Si 1.63
97 O 0.5223 0.2640 0.2500  2 Si 1.63
98 O 0.7389 0.2640 0.2500  2 Si 1.63
99 O 0.7389 0.4806 0.2500  2 Si 1.63
100 O 0.4777 0.7418 0.7500  2 Si 1.63
101 O 0.2611 0.7418 0.7500  2 Si 1.63
102 O 0.2611 0.5252 0.7500  2 Si 1.63
103 O 0.5748 0.1526 0.2500  2 Si 1.60
104 O 0.8503 0.4281 0.2500  2 Si 1.60
105 O 0.5748 0.4281 0.2500  2 Si 1.60
106 O 0.4252 0.8532 0.7500  2 Si 1.60
107 O 0.1497 0.5777 0.7500  2 Si 1.60
108 O 0.4252 0.5777 0.7500  2 Si 1.60

Li2AcAl: optimized geometry, GGA-PBE.

The formation energy comes out at -0.102 eV per atom. Its space-group type is Fm-3m. The calculation puts the total DFT energy (no corrections) at -0.2222 Ry/atom.

a = 5.0887 Å, b = 5.0887 Å, c = 5.0887 Å
α = 60.00°, β = 60.00°, γ = 60.00°
With the nearest neighbours (Å) after each atom.
Fractional positions:
1 Li 0.2500 0.2500 0.2500  4 Ac 3.12, 4 Al 3.12
2 Li 0.7500 0.7500 0.7500  4 Ac 3.12, 4 Al 3.12
3 Ac 0.5000 0.5000 0.5000  8 Li 3.12
4 Al 0.0000 0.0000 0.0000  8 Li 3.12

TaCrCo: optimized geometry, GGA-PBE.

The formation energy comes out at -0.176 eV per atom. Its space-group type is Amm2. The calculation puts the total DFT energy (no corrections) at -0.7141 Ry/atom.

a = 4.7574 Å, b = 4.7574 Å, c = 8.0021 Å
α = 90.00°, β = 90.00°, γ = 119.17°
With the nearest neighbours (Å) after each atom.
Fractional positions:
1 Ta 0.6691 0.3309 0.3164  7 Co 2.75-2.84, 5 Cr 2.82-2.87, 4 Ta 2.92-2.95
2 Ta 0.3356 0.6644 0.1894  5 Co 2.81-2.82, 7 Cr 2.81-2.85, 4 Ta 2.92-3.03
3 Ta 0.3356 0.6644 0.8106  5 Co 2.81-2.82, 7 Cr 2.81-2.85, 4 Ta 2.92-3.03
4 Ta 0.6691 0.3309 0.6836  7 Co 2.75-2.84, 5 Cr 2.82-2.87, 4 Ta 2.92-2.95
5 Cr 0.1697 0.8303 0.5000  6 Co 2.31-2.45
6 Cr 0.3424 0.1706 0.0000  4 Cr 2.30-2.47, 2 Co 2.49
7 Cr 0.8294 0.6576 0.0000  4 Cr 2.30-2.47, 2 Co 2.49
8 Cr 0.8277 0.1723 0.0000  4 Cr 2.30-2.45, 2 Co 2.48
9 Co 0.9994 0.0006 0.2556  4 Cr 2.40-2.49, 2 Co 2.42
10 Co 0.9994 0.0006 0.7444  4 Cr 2.40-2.49, 2 Co 2.42
11 Co 0.6581 0.8353 0.5000  2 Cr 2.31-2.45, 4 Co 2.38-2.44
12 Co 0.1647 0.3419 0.5000  2 Cr 2.31-2.45, 4 Co 2.38-2.44

CeSe2: optimized geometry, GGA-PBE.

The formation energy comes out at -1.891 eV per atom. Its space-group type is Pbca. The calculation puts the total DFT energy (no corrections) at -0.4325 Ry/atom.

a = 7.1165 Å, b = 7.1996 Å, c = 13.4295 Å
α = 90.00°, β = 90.00°, γ = 90.00°
With the nearest neighbours (Å) after each atom.
Fractional positions:
1 Ce 0.8527 0.0564 0.6457  7 Se 2.83-3.03
2 Ce 0.1473 0.4436 0.1457  7 Se 2.83-3.03
3 Ce 0.6473 0.5564 0.3543  7 Se 2.83-3.03
4 Ce 0.3527 0.9436 0.8543  7 Se 2.83-3.03
5 Ce 0.1473 0.9436 0.3543  7 Se 2.83-3.03
6 Ce 0.8527 0.5564 0.8543  7 Se 2.83-3.03
7 Ce 0.3527 0.4436 0.6457  7 Se 2.83-3.03
8 Ce 0.6473 0.0564 0.1457  7 Se 2.83-3.03
9 Se 0.6830 0.3437 0.5330  3 Ce 2.83-2.89
10 Se 0.3170 0.1563 0.0330  3 Ce 2.83-2.89
11 Se 0.8170 0.8437 0.4670  3 Ce 2.83-2.89
12 Se 0.1830 0.6563 0.9670  3 Ce 2.83-2.89
13 Se 0.3170 0.6563 0.4670  3 Ce 2.83-2.89
14 Se 0.6830 0.8437 0.9670  3 Ce 2.83-2.89
15 Se 0.1830 0.1563 0.5330  3 Ce 2.83-2.89
16 Se 0.8170 0.3437 0.0330  3 Ce 2.83-2.89
17 Se 0.5919 0.7525 0.7101  4 Ce 2.92-3.03
18 Se 0.4081 0.7475 0.2101  4 Ce 2.92-3.03
19 Se 0.9081 0.2525 0.2899  4 Ce 2.92-3.03
20 Se 0.0919 0.2475 0.7899  4 Ce 2.92-3.03
21 Se 0.4081 0.2475 0.2899  4 Ce 2.92-3.03
22 Se 0.5919 0.2525 0.7899  4 Ce 2.92-3.03
23 Se 0.0919 0.7475 0.7101  4 Ce 2.92-3.03
24 Se 0.9081 0.7525 0.2101  4 Ce 2.92-3.03

LiAlPO5: optimized geometry, GGA-PBE.

The formation energy comes out at -2.729 eV per atom. Its space-group type is P-1. The calculation puts the total DFT energy (no corrections) at -0.4980 Ry/atom.

a = 5.1369 Å, b = 5.2174 Å, c = 7.0264 Å
α = 105.69°, β = 106.79°, γ = 99.95°
With the nearest neighbours (Å) after each atom.
Fractional positions:
1 Li 0.2686 0.1311 0.7117  4 O 1.98-2.17
2 Li 0.7314 0.8689 0.2883  4 O 1.98-2.17
3 Al 0.0000 0.5000 0.5000  6 O 1.85-1.97
4 Al 0.0000 0.5000 0.0000  6 O 1.85-1.94
5 P 0.3211 0.1460 0.2557  4 O 1.53-1.57
6 P 0.6789 0.8540 0.7443  4 O 1.53-1.57
7 O 0.1302 0.1763 0.3920  1 P 1.56
8 O 0.8698 0.8237 0.6080  1 P 1.56
9 O 0.0839 0.4347 0.7545  2 Al 1.85, 1 Li 1.98
10 O 0.9161 0.5653 0.2455  2 Al 1.85, 1 Li 1.98
11 O 0.6376 0.2608 0.4008  1 P 1.55
12 O 0.3624 0.7392 0.5992  1 P 1.55
13 O 0.2536 0.2854 0.0891  1 P 1.53
14 O 0.7464 0.7146 0.9109  1 P 1.53
15 O 0.2972 0.8319 0.1540  1 P 1.57
16 O 0.7028 0.1681 0.8460  1 P 1.57

CrN2: optimized geometry, GGA-PBE.

The formation energy comes out at -0.071 eV per atom. Its space-group type is C2/c. The calculation puts the total DFT energy (no corrections) at -0.6325 Ry/atom.

a = 13.7844 Å, b = 13.7844 Å, c = 26.6289 Å
α = 72.39°, β = 72.39°, γ = 23.45°
With the nearest neighbours (Å) after each atom.
Fractional positions:
1 Cr 0.0937 0.0293 0.4132  4 N 1.68-1.76
2 Cr 0.9707 0.9063 0.0868  4 N 1.68-1.76
3 Cr 0.9063 0.9707 0.5868  4 N 1.68-1.76
4 Cr 0.0293 0.0937 0.9132  4 N 1.68-1.76
5 Cr 0.8696 0.9941 0.4603  4 N 1.70-1.80
6 Cr 0.0059 0.1304 0.0397  4 N 1.70-1.80
7 Cr 0.1304 0.0059 0.5397  4 N 1.70-1.80
8 Cr 0.9941 0.8696 0.9603  4 N 1.70-1.80
9 Cr 0.6555 0.5945 0.3622  4 N 1.70-1.79
10 Cr 0.4055 0.3445 0.1378  4 N 1.70-1.79
11 Cr 0.3445 0.4055 0.6378  4 N 1.70-1.79
12 Cr 0.5945 0.6555 0.8622  4 N 1.70-1.79
13 Cr 0.2981 0.4359 0.4479  4 N 1.68-1.78
14 Cr 0.5641 0.7019 0.0521  4 N 1.68-1.78
15 Cr 0.7019 0.5641 0.5521  4 N 1.68-1.78
16 Cr 0.4359 0.2981 0.9479  4 N 1.68-1.78
17 Cr 0.7935 0.6392 0.4267  4 N 1.67-1.79
18 Cr 0.3608 0.2065 0.0733  4 N 1.67-1.79
19 Cr 0.2065 0.3608 0.5733  4 N 1.67-1.79
20 Cr 0.6392 0.7935 0.9267  4 N 1.67-1.79
21 Cr 0.3652 0.2087 0.3812  4 N 1.69-1.81
22 Cr 0.7913 0.6348 0.1188  4 N 1.69-1.81
23 Cr 0.6348 0.7913 0.6188  4 N 1.69-1.81
24 Cr 0.2087 0.3652 0.8812  4 N 1.69-1.81
25 Cr 0.7252 0.7040 0.2450  4 N 1.67-1.82
26 Cr 0.2960 0.2748 0.2550  4 N 1.67-1.82
27 Cr 0.2748 0.2960 0.7550  4 N 1.67-1.82
28 Cr 0.7040 0.7252 0.7450  4 N 1.67-1.82
29 N 0.0963 0.0489 0.4747  2 Cr 1.71-1.75
30 N 0.9511 0.9037 0.0253  2 Cr 1.71-1.75
31 N 0.9037 0.9511 0.5253  2 Cr 1.71-1.75
32 N 0.0489 0.0963 0.9747  2 Cr 1.71-1.75
33 N 0.9670 0.0259 0.4230  2 Cr 1.73
34 N 0.9741 0.0330 0.0770  2 Cr 1.73
35 N 0.0330 0.9741 0.5770  2 Cr 1.73
36 N 0.0259 0.9670 0.9230  2 Cr 1.73
37 N 0.3984 0.7580 0.3866  2 Cr 1.70-1.76
38 N 0.2420 0.6016 0.1134  2 Cr 1.70-1.76
39 N 0.6016 0.2420 0.6134  2 Cr 1.70-1.76
40 N 0.7580 0.3984 0.8866  2 Cr 1.70-1.76
41 N 0.6858 0.6545 0.3956  2 Cr 1.72-1.73
42 N 0.3455 0.3142 0.1044  2 Cr 1.72-1.73
43 N 0.3142 0.3455 0.6044  2 Cr 1.72-1.73
44 N 0.6545 0.6858 0.8956  2 Cr 1.72-1.73
45 N 0.5521 0.2674 0.4520  2 Cr 1.68-1.80
46 N 0.7326 0.4479 0.0480  2 Cr 1.68-1.80
47 N 0.4479 0.7326 0.5480  2 Cr 1.68-1.80
48 N 0.2674 0.5521 0.9520  2 Cr 1.68-1.80
49 N 0.6431 0.6689 0.2961  2 Cr 1.72-1.74
50 N 0.3311 0.3569 0.2039  2 Cr 1.72-1.74
51 N 0.3569 0.3311 0.7039  2 Cr 1.72-1.74
52 N 0.6689 0.6431 0.7961  2 Cr 1.72-1.74
53 N 0.0086 0.4953 0.2593  2 Cr 1.67-1.82
54 N 0.5047 0.9914 0.2407  2 Cr 1.67-1.82
55 N 0.9914 0.5047 0.7407  2 Cr 1.67-1.82
56 N 0.4953 0.0086 0.7593  2 Cr 1.67-1.82
57 N 0.1133 0.3683 0.4093  2 Cr 1.69-1.79
58 N 0.6317 0.8867 0.0907  2 Cr 1.69-1.79
59 N 0.8867 0.6317 0.5907  2 Cr 1.69-1.79
60 N 0.3683 0.1133 0.9093  2 Cr 1.69-1.79
61 N 0.3543 0.3311 0.3955  2 Cr 1.70-1.77
62 N 0.6689 0.6457 0.1045  2 Cr 1.70-1.77
63 N 0.6457 0.6689 0.6045  2 Cr 1.70-1.77
64 N 0.3311 0.3543 0.8955  2 Cr 1.70-1.77
65 N 0.2535 0.3787 0.5056  2 Cr 1.72-1.75
66 N 0.6213 0.7465 0.9944  2 Cr 1.72-1.75
67 N 0.7465 0.6213 0.4944  2 Cr 1.72-1.75
68 N 0.3787 0.2535 0.0056  2 Cr 1.72-1.75
69 N 0.7769 0.6270 0.1870  2 Cr 1.72-1.75
70 N 0.3730 0.2231 0.3130  2 Cr 1.72-1.75
71 N 0.2231 0.3730 0.8130  2 Cr 1.72-1.75
72 N 0.6270 0.7769 0.6870  2 Cr 1.72-1.75
73 N 0.9188 0.2748 0.3724  2 Cr 1.68-1.79
74 N 0.7252 0.0812 0.1276  2 Cr 1.68-1.79
75 N 0.0812 0.7252 0.6276  2 Cr 1.68-1.79
76 N 0.2748 0.9188 0.8724  2 Cr 1.68-1.79
77 N 0.0353 0.7543 0.4404  2 Cr 1.70-1.78
78 N 0.2457 0.9647 0.0596  2 Cr 1.70-1.78
79 N 0.9647 0.2457 0.5596  2 Cr 1.70-1.78
80 N 0.7543 0.0353 0.9404  2 Cr 1.70-1.78
81 N 0.6269 0.8974 0.4098  2 Cr 1.67-1.81
82 N 0.1026 0.3731 0.0902  2 Cr 1.67-1.81
83 N 0.3731 0.1026 0.5902  2 Cr 1.67-1.81
84 N 0.8974 0.6269 0.9098  2 Cr 1.67-1.81

Q: Number 3 is which compound?
A: SiO2

Q: Number 2 is which compound?
A: CaTiH6O2F6

Q: Number 4 is which compound?
A: Li2AcAl